The following is a DFT calculation (GGA-PBE) of a relaxed structure of CeAlO3.

CIF file:
```
data_CeAlO3
_chemical_formula_sum 'Ce1 Al1 O3'
_symmetry_space_group_name_H-M 'P m -3 m'
_symmetry_Int_Tables_number 221
_symmetry_space_group_name_Hall '-P 4 2 3'
_cell_length_a 3.786
_cell_length_b 3.786
_cell_length_c 3.786
_cell_angle_alpha 90.00
_cell_angle_beta 90.00
_cell_angle_gamma 90.00
loop_
_atom_site_label
_atom_site_fract_x
_atom_site_fract_y
_atom_site_fract_z
Ce1 0.000 0.000 0.000
Al1 0.500 0.500 0.500
O1 0.000 0.500 0.500
```

- crystal system = cubic
- density (g/cm3) = 6.6
- E_tot (eV per cell) = -40.48
- energy relative to the elements (eV per atom) = -3.6040

=====

The following is a DFT calculation (GGA-PBE) of a relaxed structure of Rb2ErCuCl6.

CIF file:
```
data_Rb2ErCuCl6
_chemical_formula_sum 'Rb8 Er4 Cu4 Cl24'
_symmetry_space_group_name_H-M 'F m -3 m'
_symmetry_Int_Tables_number 225
_symmetry_space_group_name_Hall '-F 4 2 3'
_cell_length_a 10.360
_cell_length_b 10.360
_cell_length_c 10.360
_cell_angle_alpha 90.00
_cell_angle_beta 90.00
_cell_angle_gamma 90.00
loop_
_atom_site_label
_atom_site_fract_x
_atom_site_fract_y
_atom_site_fract_z
Rb1 0.250 0.250 0.250
Er1 0.000 0.000 0.000
Cu1 0.000 0.000 0.500
Cl1 0.000 0.000 0.252
```

- crystal system = cubic
- density (g/cm3) = 3.7
- magnetic moment (μB per cell) = 0.01
- E_tot (eV per cell) = -157.68
- energy relative to the elements (eV per atom) = -2.1386

=====

The following is a DFT calculation (GGA-PBE) of a relaxed structure of Na3LaSi3Sn3S3O24.

CIF file:
```
data_Na3LaSi3Sn3S3O24
_chemical_formula_sum 'Na9 La3 Si9 Sn9 S9 O72'
_symmetry_space_group_name_H-M 'P 1'
_symmetry_Int_Tables_number 1
_cell_length_a 9.024
_cell_length_b 9.027
_cell_length_c 23.369
_cell_angle_alpha 89.92
_cell_angle_beta 89.36
_cell_angle_gamma 60.51
loop_
_symmetry_equiv_pos_as_xyz
'x,y,z'
loop_
_atom_site_label
_atom_site_fract_x
_atom_site_fract_y
_atom_site_fract_z
Na1 0.000 0.000 0.000
Na2 0.003 0.630 0.246
Na3 0.012 0.264 0.485
Na4 0.025 0.612 0.743
Na5 0.331 0.333 0.661
Na6 0.354 0.969 0.403
Na7 0.358 0.981 0.910
Na8 0.659 0.302 0.575
Na9 0.692 0.279 0.076
La1 0.017 0.620 0.599
La2 0.667 0.274 0.417
La3 0.670 0.286 0.928
Si1 0.019 0.330 0.998
Si2 0.043 0.239 0.662
Si3 0.058 0.947 0.157
Si4 0.310 0.315 0.495
Si5 0.356 0.668 0.662
Si6 0.371 0.289 0.823
Si7 0.678 0.971 0.322
Si8 0.724 0.895 0.994
Si9 0.982 0.286 0.326
Sn1 0.000 0.630 0.096
Sn2 0.012 0.603 0.892
Sn3 0.012 0.607 0.387
Sn4 0.331 0.961 0.559
Sn5 0.332 0.965 0.760
Sn6 0.334 0.960 0.259
Sn7 0.344 0.967 0.057
Sn8 0.666 0.306 0.723
Sn9 0.712 0.257 0.227
S1 0.023 0.913 0.490
S2 0.291 0.632 0.996
S3 0.348 0.253 0.159
S4 0.376 0.589 0.320
S5 0.624 0.967 0.662
S6 0.632 0.660 0.159
S7 0.676 0.597 0.823
S8 0.703 0.636 0.492
S9 0.979 0.981 0.824
O1 0.003 0.441 0.055
O2 0.005 0.456 0.326
O3 0.022 0.427 0.662
O4 0.034 0.812 0.438
O5 0.037 0.775 0.153
O6 0.050 0.405 0.938
O7 0.120 0.137 0.600
O8 0.144 0.975 0.098
O9 0.155 0.956 0.817
O10 0.166 0.116 0.315
O11 0.175 0.418 0.440
O12 0.177 0.153 0.713
O13 0.177 0.921 0.211
O14 0.182 0.466 0.829
O15 0.188 0.918 0.492
O16 0.189 0.136 0.999
O17 0.191 0.655 0.943
O18 0.192 0.640 0.664
O19 0.193 0.421 0.153
O20 0.203 0.605 0.326
O21 0.209 0.610 0.047
O22 0.229 0.408 0.555
O23 0.299 0.793 0.999
O24 0.311 0.127 0.497
O25 0.320 0.171 0.210
O26 0.345 0.772 0.719
O27 0.352 0.116 0.817
O28 0.355 0.761 0.311
O29 0.382 0.145 0.107
O30 0.382 0.752 0.602
O31 0.462 0.487 0.993
O32 0.464 0.473 0.270
O33 0.465 0.316 0.764
O34 0.468 0.530 0.373
O35 0.479 0.257 0.879
O36 0.498 0.291 0.492
O37 0.500 0.274 0.166
O38 0.518 0.940 0.308
O39 0.522 0.472 0.663
O40 0.524 0.989 0.609
O41 0.526 0.768 0.815
O42 0.532 0.740 0.106
O43 0.532 0.791 0.496
O44 0.536 0.906 0.001
O45 0.542 0.946 0.714
O46 0.553 0.768 0.210
O47 0.621 0.081 0.379
O48 0.631 0.129 0.666
O49 0.645 0.489 0.165
O50 0.649 0.527 0.875
O51 0.690 0.479 0.487
O52 0.706 0.083 0.992
O53 0.707 0.483 0.772
O54 0.713 0.066 0.267
O55 0.787 0.659 0.439
O56 0.793 0.822 0.660
O57 0.802 0.617 0.543
O58 0.808 0.639 0.155
O59 0.813 0.787 0.934
O60 0.834 0.613 0.826
O61 0.844 0.820 0.049
O62 0.850 0.328 0.271
O63 0.856 0.300 0.996
O64 0.859 0.793 0.332
O65 0.861 0.241 0.670
O66 0.867 0.122 0.161
O67 0.870 0.072 0.774
O68 0.883 0.091 0.487
O69 0.916 0.076 0.878
O70 0.917 0.259 0.387
O71 0.992 0.810 0.828
O72 0.997 0.843 0.542
```

- crystal system = triclinic
- density (g/cm3) = 3.4
- magnetic moment (μB per cell) = 0.00
- E_tot (eV per cell) = -720.54
- energy relative to the elements (eV per atom) = -2.3865

=====

The following is a DFT calculation (GGA-PBE) of a relaxed structure of GaMo4S8.

CIF file:
```
data_GaMo4S8
_chemical_formula_sum 'Ga4 Mo16 S32'
_symmetry_space_group_name_H-M 'F -4 3 m'
_symmetry_Int_Tables_number 216
_symmetry_space_group_name_Hall 'F -4 2 3'
_cell_length_a 9.832
_cell_length_b 9.832
_cell_length_c 9.832
_cell_angle_alpha 90.00
_cell_angle_beta 90.00
_cell_angle_gamma 90.00
loop_
_atom_site_label
_atom_site_fract_x
_atom_site_fract_y
_atom_site_fract_z
Ga1 0.000 0.000 0.000
Mo1 0.104 0.104 0.604
S1 0.134 0.134 0.366
S2 0.135 0.135 0.865
```

- largest piezoelectric modulus (C/m²) = 0.032
- crystal system = cubic
- density (g/cm3) = 5.0
- magnetic moment (μB per cell) = 4.00
- E_tot (eV per cell) = -357.68
- energy above the most stable polymorph in this dataset (kcal/mol of atoms) = 0.11
- energy relative to the elements (eV per atom) = -1.0724

=====

The following is a DFT calculation (GGA-PBE) of a relaxed structure of Sr2Ti2O5.

CIF file:
```
data_Sr2Ti2O5
_chemical_formula_sum 'Sr4 Ti4 O10'
_symmetry_space_group_name_H-M 'C m m m'
_symmetry_Int_Tables_number 65
_symmetry_space_group_name_Hall '-C 2 2'
_cell_length_a 7.815
_cell_length_b 7.951
_cell_length_c 3.940
_cell_angle_alpha 90.00
_cell_angle_beta 90.00
_cell_angle_gamma 90.00
loop_
_atom_site_label
_atom_site_fract_x
_atom_site_fract_y
_atom_site_fract_z
Sr1 0.000 0.246 0.000
Ti1 0.250 0.000 0.500
O1 0.000 0.000 0.500
O2 0.225 0.500 0.000
O3 0.250 0.250 0.500
```

- crystal system = orthorhombic
- density (g/cm3) = 4.8
- magnetic moment (μB per cell) = 0.02
- E_tot (eV per cell) = -139.55
- energy above the most stable polymorph in this dataset (kcal/mol of atoms) = 0.36
- energy relative to the elements (eV per atom) = -3.2555

=====

The following is a DFT calculation (GGA-PBE) of a relaxed structure of KErP2O9.

CIF file:
```
data_KErP2O9
_chemical_formula_sum 'K4 Er4 P8 O36'
_symmetry_space_group_name_H-M 'P 1 21/c 1'
_symmetry_Int_Tables_number 14
_cell_length_a 7.690
_cell_length_b 10.561
_cell_length_c 10.137
_cell_angle_alpha 90.00
_cell_angle_beta 91.16
_cell_angle_gamma 90.00
loop_
_symmetry_equiv_pos_as_xyz
'x,y,z'
'-x,-y,-z'
'-x,y+1/2,-z+1/2'
'x,-y+1/2,z+1/2'
loop_
_atom_site_label
_atom_site_fract_x
_atom_site_fract_y
_atom_site_fract_z
K1 0.240 0.221 0.354
Er1 0.249 0.622 0.167
P1 0.104 0.607 0.834
P2 0.467 0.647 0.867
O1 0.005 0.508 0.210
O2 0.079 0.639 0.979
O3 0.082 0.718 0.740
O4 0.085 0.069 0.043
O5 0.203 0.522 0.394
O6 0.304 0.555 0.821
O7 0.369 0.072 0.666
O8 0.450 0.668 0.016
O9 0.450 0.731 0.287
```

- crystal system = monoclinic
- density (g/cm3) = 3.3
- magnetic moment (μB per cell) = 8.00
- E_tot (eV per cell) = -343.40
- energy relative to the elements (eV per atom) = -2.3843

=====

The following is a DFT calculation (GGA-PBE) of a relaxed structure of Li4CO4.

CIF file:
```
data_Li4CO4
_chemical_formula_sum 'Li8 C2 O8'
_symmetry_space_group_name_H-M 'P 1 c 1'
_symmetry_Int_Tables_number 7
_cell_length_a 4.654
_cell_length_b 5.773
_cell_length_c 7.272
_cell_angle_alpha 90.00
_cell_angle_beta 127.76
_cell_angle_gamma 90.00
loop_
_symmetry_equiv_pos_as_xyz
'x,y,z'
'x,-y,z+1/2'
loop_
_atom_site_label
_atom_site_fract_x
_atom_site_fract_y
_atom_site_fract_z
Li1 0.000 0.012 0.000
Li2 0.186 0.427 0.688
Li3 0.400 0.194 0.367
Li4 0.798 0.397 0.829
C1 0.595 0.285 0.067
O1 0.287 0.289 0.062
O2 0.519 0.150 0.876
O3 0.662 0.481 0.528
O4 0.905 0.208 0.280
```

- crystal system = monoclinic
- density (g/cm3) = 2.2
- magnetic moment (μB per cell) = 0.00
- E_tot (eV per cell) = -104.47
- energy relative to the elements (eV per atom) = -2.0364

=====

The following is a DFT calculation (GGA-PBE) of a relaxed structure of Ho2Si2O7.

CIF file:
```
data_Ho2Si2O7
_chemical_formula_sum 'Ho8 Si8 O28'
_symmetry_space_group_name_H-M 'P -1'
_symmetry_Int_Tables_number 2
_cell_length_a 6.639
_cell_length_b 6.671
_cell_length_c 12.119
_cell_angle_alpha 94.28
_cell_angle_beta 91.49
_cell_angle_gamma 92.11
loop_
_symmetry_equiv_pos_as_xyz
'x,y,z'
'-x,-y,-z'
loop_
_atom_site_label
_atom_site_fract_x
_atom_site_fract_y
_atom_site_fract_z
Ho1 0.050 0.328 0.115
Ho2 0.118 0.090 0.356
Ho3 0.326 0.827 0.110
Ho4 0.367 0.215 0.634
Si1 0.144 0.625 0.378
Si2 0.156 0.148 0.885
Si3 0.377 0.724 0.594
Si4 0.487 0.665 0.825
O1 0.000 0.333 0.918
O2 0.001 0.985 0.815
O3 0.038 0.228 0.582
O4 0.076 0.414 0.309
O5 0.226 0.903 0.623
O6 0.230 0.083 0.006
O7 0.283 0.574 0.488
O8 0.290 0.782 0.312
O9 0.299 0.705 0.906
O10 0.350 0.209 0.815
O11 0.354 0.488 0.126
O12 0.384 0.136 0.212
O13 0.401 0.566 0.694
O14 0.413 0.175 0.448
```

- crystal system = triclinic
- density (g/cm3) = 6.2
- magnetic moment (μB per cell) = 0.00
- E_tot (eV per cell) = -360.66
- energy relative to the elements (eV per atom) = -3.6658